Below is a relaxed structure of Na5Ca2Sc2P3S3O24, with properties calculated at the PBE level. Values from VASP.

Summary:
Energy ... -782.4 eV per cell
Symmetry ... P1, No. 1
Energy of formation ... -2.733 eV/atom
Total magnetization ... 0.00 μB/cell

The structure in Quantum ESPRESSO input format:
```
&SYSTEM
  ibrav = 0, nat = 117, ntyp = 6
/
ATOMIC_SPECIES
Na 22.99 Na.upf
Ca 40.08 Ca.upf
Sc 44.96 Sc.upf
P 30.97 P.upf
S 32.06 S.upf
O 16.00 O.upf
ATOMIC_POSITIONS angstrom
Na 0.000 0.000 0.000
Na 1.452 2.441 1.775
Na 3.052 4.955 11.412
Na 1.785 2.226 13.207
Na 7.505 7.718 3.750
Na 4.756 2.588 15.233
Na 6.217 5.035 17.029
Na 6.319 5.170 5.574
Na 4.979 1.988 22.632
Na 5.063 2.334 7.582
Na 7.677 2.317 19.001
Na 10.666 7.523 9.396
Na 10.843 7.481 20.790
Na 9.454 4.675 15.009
Na 7.989 2.122 11.345
Ca 1.669 2.319 5.153
Ca 1.887 2.278 16.638
Ca 6.528 4.956 20.412
Ca 6.486 5.084 8.938
Ca 10.968 7.626 12.801
Ca 10.898 7.659 1.380
Sc 1.980 2.250 21.192
Sc 1.896 2.249 9.745
Sc 6.404 4.896 13.542
Sc 6.356 5.043 2.088
Sc 11.102 7.627 17.337
Sc 11.040 7.605 5.918
P 3.263 5.264 15.032
P 4.495 7.579 3.556
P 3.241 -0.011 7.330
P 4.688 2.207 18.855
P 7.847 7.364 22.721
P 4.996 2.630 11.195
P 7.949 2.578 22.648
P 9.177 4.881 11.294
P 7.785 2.077 15.046
S 0.457 -0.071 18.923
S 3.079 4.726 7.480
S 5.083 7.368 11.272
S 3.812 4.852 22.715
S 5.016 2.120 3.662
S 8.293 7.539 15.111
S 9.485 5.330 3.653
S 8.182 2.240 7.496
S 9.782 4.690 18.876
O 0.776 0.759 20.143
O 2.536 4.075 8.730
O 2.685 3.825 15.180
O 0.870 0.816 3.685
O 0.977 0.581 17.726
O 2.764 3.902 6.311
O 1.127 0.764 11.173
O 3.006 3.580 22.632
O 5.297 6.581 10.073
O 4.590 5.051 21.501
O 5.568 6.542 19.018
O 5.660 6.694 12.468
O 4.826 5.136 14.985
O 4.555 4.836 7.569
O 4.467 4.769 1.010
O 5.398 6.286 3.563
O 2.531 0.803 22.631
O 3.419 2.545 11.155
O 2.865 0.963 8.542
O 3.544 2.265 3.785
O 2.836 0.742 15.252
O 3.739 2.104 20.121
O 2.751 0.626 6.035
O 3.880 2.326 17.565
O 5.311 3.555 12.448
O 7.000 6.761 1.127
O 7.231 6.569 7.466
O 5.646 3.417 18.946
O 7.522 6.551 21.496
O 5.507 3.295 9.925
O 5.671 3.450 3.571
O 7.497 6.274 15.028
O 9.070 7.750 13.888
O 5.243 1.323 2.437
O 9.357 7.657 22.819
O 5.580 1.397 4.855
O 9.400 7.938 7.328
O 9.216 7.373 16.278
O 5.664 1.254 11.332
O 5.588 0.906 18.824
O 7.027 3.477 15.013
O 7.972 5.289 3.605
O 7.210 3.365 7.564
O 7.311 3.598 0.976
O 7.341 3.123 21.355
O 8.286 5.046 10.088
O 8.311 4.811 19.007
O 8.284 4.737 12.602
O 7.172 1.312 16.286
O 9.825 6.200 4.829
O 7.363 1.146 22.820
O 7.504 1.332 13.749
O 9.984 5.929 2.420
O 10.197 6.033 11.359
O 7.355 0.976 7.394
O 10.424 6.031 18.832
O 10.008 3.956 17.615
O 9.006 2.420 6.318
O 9.022 2.132 8.731
O 10.023 3.969 3.786
O 9.290 2.360 15.181
O 9.512 2.442 22.573
O 9.992 3.517 11.197
O 10.352 3.923 20.027
O 12.713 7.873 18.850
O 11.640 6.079 7.376
O 12.047 6.177 16.239
O 12.799 7.566 11.401
O 12.669 7.477 4.758
O 11.866 5.818 13.734
O 12.108 6.021 22.863
O 12.930 7.704 2.235
CELL_PARAMETERS angstrom
9.189 0.000 0.000
4.577 7.976 0.000
0.252 -0.099 22.883
```



Below is a relaxed structure of PmDyMg2, with properties calculated at the PBE level. Values from VASP.

Summary:
Energy ... -12.9 eV per cell
Symmetry ... Fm-3m, No. 225
Energy of formation ... -0.093 eV/atom

The structure in Quantum ESPRESSO input format:
```
&SYSTEM
  ibrav = 0, nat = 4, ntyp = 3
/
ATOMIC_SPECIES
Pm 145.00 Pm.upf
Dy 162.50 Dy.upf
Mg 24.30 Mg.upf
ATOMIC_POSITIONS angstrom
Pm 0.000 0.000 0.000
Dy 3.823 3.823 3.823
Mg 1.911 1.911 1.911
Mg 5.734 5.734 5.734
CELL_PARAMETERS angstrom
0.000 3.823 3.823
3.823 0.000 3.823
3.823 3.823 0.000
```